No. 1
{
  "formula": "NbOsPb",
  "functional": "PBE-GGA",
  "state": "relaxed",
  "lattice_angstrom": [[0.000, 3.206, 3.206], [3.206, 0.000, 3.206], [3.206, 3.206, 0.000]],
  "species": ["Nb", "Os", "Pb"],
  "fractional_positions": [[0.750, 0.750, 0.750], [0.000, 0.000, 0.000], [0.500, 0.500, 0.500]],
  "total_magnetization_mub_per_cell": 0.01,
  "dft_energy_ev_per_atom": -7.558,
  "formation_energy_ev_per_atom": 0.790
}

No. 2
{
  "formula": "Sr3Ge2N2",
  "functional": "PBE-GGA",
  "state": "relaxed",
  "lattice_angstrom": [[3.913, 0.000, 0.000], [0.000, 9.103, 0.000], [0.000, 3.720, 8.954]],
  "species": ["Sr", "Sr", "Sr", "Sr", "Sr", "Sr", "Ge", "Ge", "Ge", "Ge", "N", "N", "N", "N"],
  "fractional_positions": [[0.250, 0.881, 0.353], [0.750, 0.119, 0.647], [0.250, 0.481, 0.670], [0.750, 0.519, 0.330], [0.250, 0.682, 0.943], [0.750, 0.318, 0.057], [0.250, 0.086, 0.943], [0.750, 0.914, 0.057], [0.750, 0.759, 0.651], [0.250, 0.241, 0.349], [0.250, 0.430, 0.174], [0.750, 0.570, 0.826], [0.250, 0.315, 0.508], [0.750, 0.685, 0.492]],
  "dft_energy_ev_per_atom": -5.092,
  "formation_energy_ev_per_atom": -0.769
}

No. 3
{
  "formula": "CeCuGe2",
  "functional": "PBE-GGA",
  "state": "relaxed",
  "lattice_angstrom": [[0.000, 0.000, 4.765], [3.293, 0.000, 0.000], [-1.647, 10.151, 0.000]],
  "species": ["Ce", "Ce", "Cu", "Cu", "Ge", "Ge", "Ge", "Ge"],
  "fractional_positions": [[0.250, 0.133, 0.265], [0.750, 0.867, 0.735], [0.250, 0.383, 0.765], [0.750, 0.617, 0.235], [0.250, 0.974, 0.948], [0.750, 0.026, 0.052], [0.250, 0.767, 0.534], [0.750, 0.233, 0.466]],
  "total_magnetization_mub_per_cell": 1.50,
  "dft_energy_ev_per_atom": -4.878,
  "formation_energy_ev_per_atom": -0.058
}

No. 4
{
  "formula": "BaCaTbSnO6",
  "functional": "PBE-GGA",
  "state": "relaxed",
  "lattice_angstrom": [[0.990, 2.788, -5.281], [-4.175, 3.748, -2.273], [1.034, 5.963, -0.128]],
  "species": ["Ba", "Ca", "Tb", "Sn", "O", "O", "O", "O", "O", "O"],
  "fractional_positions": [[0.750, 0.750, 0.750], [0.250, 0.250, 0.250], [0.500, 0.500, 0.500], [0.000, 0.000, 0.000], [0.759, 0.241, 0.241], [0.241, 0.759, 0.759], [0.759, 0.241, 0.759], [0.241, 0.759, 0.241], [0.759, 0.759, 0.241], [0.241, 0.241, 0.759]],
  "total_magnetization_mub_per_cell": 1.00,
  "dft_energy_ev_per_atom": -6.613,
  "formation_energy_ev_per_atom": -2.799
}